1.
VASP calculation (PBE+U) on CoH2SeO4 after structural relaxation.

M_tot = 0.00 μB per formula unit
Energy relative to the elements = -10.33 eV per formula unit
Energy = -0.396 Ry per atom

a = 4.884 Å, b = 5.725 Å, c = 13.504 Å
α = 89.99°, β = 89.99°, γ = 92.03°
Positions (direct):
O: 0.107 0.114 0.886
O: 0.089 0.882 0.676
O: 0.076 0.626 0.866
O: 0.904 0.667 0.320
O: 0.411 0.618 0.176
O: 0.607 0.614 0.614
O: 0.393 0.386 0.386
O: 0.893 0.886 0.114
O: 0.596 0.833 0.820
O: 0.924 0.374 0.134
O: 0.576 0.126 0.634
O: 0.589 0.382 0.824
O: 0.424 0.874 0.366
O: 0.911 0.118 0.324
O: 0.404 0.167 0.180
O: 0.096 0.333 0.680
H: 0.772 0.713 0.629
H: 0.167 0.951 0.889
H: 0.833 0.049 0.111
H: 0.272 0.213 0.870
H: 0.728 0.787 0.130
H: 0.228 0.287 0.371
H: 0.333 0.549 0.389
H: 0.667 0.451 0.611
Co: 0.680 0.384 0.267
Co: 0.820 0.116 0.767
Co: 0.320 0.616 0.733
Co: 0.180 0.884 0.233
Se: 0.763 0.887 0.394
Se: 0.237 0.113 0.606
Se: 0.737 0.613 0.894
Se: 0.263 0.387 0.106

***

2.
VASP calculation (PBE+U) on Tl2CoH12Se2O14 after structural relaxation.

M_tot = 1.00 μB per formula unit
Energy relative to the elements = -38.59 eV per formula unit
Energy = -0.370 Ry per atom

a = 12.686 Å, b = 6.341 Å, c = 9.430 Å
α = 75.19°, β = 90.00°, γ = 90.00°
Positions (direct):
O: 0.560 0.708 0.498
O: 0.391 0.839 0.655
O: 0.240 0.425 0.417
O: 0.610 0.034 0.664
O: 0.890 0.034 0.164
O: 0.260 0.425 0.917
O: 0.609 0.161 0.345
O: 0.940 0.708 0.998
O: 0.059 0.395 0.268
O: 0.760 0.575 0.583
O: 0.891 0.161 0.845
O: 0.440 0.292 0.502
O: 0.109 0.839 0.155
O: 0.060 0.292 0.002
O: 0.180 0.026 0.379
O: 0.941 0.605 0.732
O: 0.680 0.974 0.121
O: 0.933 0.782 0.437
O: 0.433 0.218 0.063
O: 0.441 0.395 0.768
O: 0.820 0.974 0.621
O: 0.559 0.605 0.232
O: 0.110 0.966 0.836
O: 0.740 0.575 0.083
O: 0.390 0.966 0.336
O: 0.067 0.218 0.563
O: 0.320 0.026 0.879
O: 0.567 0.782 0.937
H: 0.904 0.936 0.263
H: 0.596 0.936 0.763
H: 0.872 0.093 0.765
H: 0.816 0.008 0.138
H: 0.364 0.325 0.473
H: 0.864 0.675 0.027
H: 0.684 0.008 0.638
H: 0.128 0.907 0.235
H: 0.136 0.325 0.973
H: 0.628 0.093 0.265
H: 0.586 0.313 0.300
H: 0.551 0.671 0.402
H: 0.414 0.687 0.700
H: 0.051 0.329 0.098
H: 0.914 0.313 0.800
H: 0.316 0.992 0.362
H: 0.096 0.064 0.737
H: 0.404 0.064 0.237
H: 0.372 0.907 0.735
H: 0.449 0.329 0.598
H: 0.184 0.992 0.862
H: 0.086 0.687 0.200
H: 0.949 0.671 0.902
H: 0.636 0.675 0.527
Tl: 0.348 0.650 0.133
Tl: 0.652 0.350 0.867
Tl: 0.152 0.650 0.633
Tl: 0.848 0.350 0.367
Se: 0.863 0.737 0.592
Se: 0.363 0.263 0.908
Se: 0.137 0.263 0.408
Se: 0.637 0.737 0.092
Co: 0.000 0.000 0.000
Co: 0.500 0.000 0.500

***

3.
VASP calculation (PBE+U) on U2CoSi2H14O18 after structural relaxation.

M_tot = 1.00 μB per formula unit
Energy relative to the elements = -76.47 eV per formula unit
Energy = -0.476 Ry per atom

a = 7.082 Å, b = 9.551 Å, c = 12.834 Å
α = 90.00°, β = 90.00°, γ = 111.76°
Positions (direct):
O: 0.524 0.399 0.654
O: 0.375 0.399 0.846
O: 0.707 0.004 0.615
O: 0.203 0.996 0.115
O: 0.797 0.004 0.885
O: 0.226 0.452 0.507
O: 0.703 0.996 0.385
O: 0.726 0.452 0.993
O: 0.976 0.601 0.154
O: 0.774 0.548 0.493
O: 0.625 0.601 0.154
O: 0.105 0.210 0.666
O: 0.605 0.210 0.834
O: 0.688 0.375 0.303
O: 0.395 0.790 0.166
O: 0.476 0.601 0.346
O: 0.376 0.753 0.505
O: 0.024 0.399 0.846
O: 0.312 0.625 0.697
O: 0.624 0.247 0.495
O: 0.405 0.809 0.891
O: 0.293 0.996 0.385
O: 0.124 0.247 0.005
O: 0.188 0.375 0.197
O: 0.274 0.548 0.007
O: 0.812 0.625 0.803
O: 0.095 0.191 0.391
O: 0.595 0.191 0.109
O: 0.895 0.790 0.334
O: 0.793 0.996 0.115
O: 0.207 0.004 0.885
O: 0.905 0.809 0.609
O: 0.876 0.753 0.995
O: 0.875 0.399 0.654
O: 0.125 0.601 0.346
O: 0.297 0.004 0.615
U: 0.292 0.584 0.180
U: 0.792 0.584 0.320
U: 0.708 0.416 0.820
U: 0.208 0.416 0.680
H: 0.806 0.099 0.640
H: 0.862 0.725 0.920
H: 0.793 0.099 0.860
H: 0.651 0.934 0.892
H: 0.707 0.901 0.360
H: 0.381 0.762 0.822
H: 0.349 0.066 0.108
H: 0.619 0.238 0.178
H: 0.639 0.277 0.059
H: 0.306 0.099 0.860
H: 0.694 0.901 0.140
H: 0.362 0.725 0.580
H: 0.361 0.723 0.941
H: 0.716 0.066 0.108
H: 0.207 0.901 0.140
H: 0.194 0.901 0.360
H: 0.138 0.275 0.080
H: 0.293 0.099 0.640
H: 0.284 0.934 0.892
H: 0.849 0.066 0.392
H: 0.861 0.723 0.559
H: 0.119 0.238 0.322
H: 0.151 0.934 0.608
H: 0.139 0.277 0.441
H: 0.638 0.275 0.420
H: 0.216 0.066 0.392
H: 0.784 0.934 0.608
H: 0.881 0.762 0.678
Si: 0.701 0.402 0.570
Si: 0.299 0.598 0.430
Si: 0.201 0.402 0.930
Si: 0.799 0.598 0.070
Co: 0.500 0.000 0.500
Co: 0.000 0.000 0.000

***

4.
VASP calculation (PBE+U) on V2CoH8O10 after structural relaxation.

M_tot = 1.00 μB per formula unit
Energy relative to the elements = -32.87 eV per formula unit
Energy = -0.430 Ry per atom

a = 8.386 Å, b = 8.386 Å, c = 7.125 Å
α = 74.14°, β = 74.14°, γ = 73.67°
Positions (direct):
O: 0.897 0.707 0.301
O: 0.293 0.103 0.199
O: 0.668 0.995 0.186
O: 0.332 0.005 0.814
O: 0.995 0.668 0.686
O: 0.986 0.898 0.920
O: 0.276 0.489 0.974
O: 0.102 0.014 0.580
O: 0.466 0.765 0.157
O: 0.489 0.276 0.474
O: 0.724 0.511 0.026
O: 0.707 0.897 0.801
O: 0.898 0.986 0.420
O: 0.534 0.235 0.843
O: 0.103 0.293 0.699
O: 0.005 0.332 0.314
O: 0.014 0.102 0.080
O: 0.511 0.724 0.526
O: 0.235 0.534 0.343
O: 0.765 0.466 0.657
V: 0.916 0.875 0.691
V: 0.125 0.084 0.809
V: 0.875 0.916 0.191
V: 0.084 0.125 0.309
H: 0.419 0.194 0.496
H: 0.779 0.396 0.088
H: 0.532 0.669 0.096
H: 0.604 0.221 0.412
H: 0.396 0.779 0.588
H: 0.806 0.581 0.004
H: 0.260 0.507 0.209
H: 0.331 0.468 0.404
H: 0.740 0.493 0.791
H: 0.194 0.419 0.996
H: 0.669 0.532 0.596
H: 0.493 0.740 0.291
H: 0.581 0.806 0.504
H: 0.468 0.331 0.904
H: 0.221 0.604 0.912
H: 0.507 0.260 0.709
Co: 0.500 0.000 0.000
Co: 0.000 0.500 0.500

***

5.
VASP calculation (PBE+U) on V2CoH8O10 after structural relaxation.

M_tot = 1.00 μB per formula unit
Energy relative to the elements = -33.18 eV per formula unit
Energy = -0.431 Ry per atom

a = 13.703 Å, b = 9.750 Å, c = 7.069 Å
α = 90.00°, β = 111.74°, γ = 90.00°
Positions (direct):
H: 0.693 0.091 0.538
H: 0.903 0.337 0.336
H: 0.403 0.837 0.336
H: 0.138 0.684 0.346
H: 0.307 0.909 0.462
H: 0.807 0.591 0.962
H: 0.403 0.163 0.836
H: 0.888 0.450 0.164
H: 0.903 0.663 0.836
H: 0.807 0.409 0.462
H: 0.193 0.591 0.538
H: 0.112 0.550 0.836
H: 0.862 0.684 0.154
H: 0.638 0.184 0.346
H: 0.888 0.550 0.664
H: 0.362 0.184 0.154
H: 0.693 0.909 0.038
H: 0.097 0.663 0.664
H: 0.388 0.050 0.664
H: 0.638 0.816 0.846
H: 0.307 0.091 0.962
H: 0.597 0.837 0.164
H: 0.138 0.316 0.846
H: 0.862 0.316 0.654
H: 0.597 0.163 0.664
H: 0.097 0.337 0.164
H: 0.362 0.816 0.654
H: 0.193 0.409 0.038
H: 0.112 0.450 0.336
H: 0.612 0.950 0.336
H: 0.612 0.050 0.836
H: 0.388 0.950 0.164
O: 0.202 0.917 0.810
O: 0.382 0.850 0.188
O: 0.702 0.417 0.810
O: 0.341 0.319 0.316
O: 0.159 0.819 0.184
O: 0.341 0.681 0.816
O: 0.882 0.350 0.188
O: 0.382 0.150 0.688
O: 0.058 0.040 0.921
O: 0.618 0.850 0.312
O: 0.058 0.960 0.421
O: 0.882 0.650 0.688
O: 0.442 0.540 0.579
O: 0.118 0.350 0.312
O: 0.124 0.388 0.932
O: 0.876 0.388 0.568
O: 0.659 0.681 0.684
O: 0.702 0.583 0.310
O: 0.124 0.612 0.432
O: 0.659 0.319 0.184
O: 0.841 0.819 0.316
O: 0.298 0.417 0.690
O: 0.202 0.083 0.310
O: 0.798 0.917 0.690
O: 0.442 0.460 0.079
O: 0.624 0.888 0.932
O: 0.618 0.150 0.812
O: 0.118 0.650 0.812
O: 0.798 0.083 0.190
O: 0.841 0.181 0.816
O: 0.376 0.888 0.568
O: 0.876 0.612 0.068
O: 0.376 0.112 0.068
O: 0.558 0.460 0.421
O: 0.942 0.040 0.579
O: 0.558 0.540 0.921
O: 0.624 0.112 0.432
O: 0.298 0.583 0.190
O: 0.159 0.181 0.684
O: 0.942 0.960 0.079
Co: 0.750 0.250 0.000
Co: 0.750 0.750 0.500
Co: 0.250 0.250 0.500
Co: 0.250 0.750 0.000
V: 0.103 0.972 0.193
V: 0.603 0.528 0.693
V: 0.397 0.528 0.807
V: 0.897 0.028 0.807
V: 0.897 0.972 0.307
V: 0.103 0.028 0.693
V: 0.603 0.472 0.193
V: 0.397 0.472 0.307

***

6.
VASP calculation (PBE+U) on HfMg6CoO8 after structural relaxation.

M_tot = 1.93 μB per formula unit
Energy relative to the elements = -43.18 eV per formula unit
Energy = -0.470 Ry per atom

a = 8.851 Å, b = 4.338 Å, c = 4.338 Å
α = 90.00°, β = 90.00°, γ = 90.00°
Positions (direct):
Mg: 0.771 0.500 0.000
Mg: 0.229 0.500 0.000
Mg: 0.500 0.500 0.500
Mg: 0.771 0.000 0.500
Mg: 0.229 0.000 0.500
Mg: 0.000 0.500 0.500
O: 0.500 0.000 0.500
O: 0.500 0.500 0.000
O: 0.250 0.500 0.500
O: 0.000 0.500 0.000
O: 0.750 0.500 0.500
O: 0.266 0.000 0.000
O: 0.000 0.000 0.500
O: 0.734 0.000 0.000
Hf: 0.500 0.000 0.000
Co: 0.000 0.000 0.000